Entry 1:
VASP calculation (PBE) on a geometry-optimized Y2Se3 structure.

## Properties
Calculated formation energy (eV/atom): -2.120
M_tot (μB per formula unit): 0.0

a = 14.454 Å, b = 14.454 Å, c = 14.454 Å
α = 144.88°, β = 144.88°, γ = 50.51°
Element x y z (fractional)
Y1 0.583 0.083 0.500
Y2 0.875 0.507 0.132
Y3 0.577 0.469 0.625
Y4 0.167 0.167 0.000
Y5 0.844 0.952 0.375
Y6 0.375 0.743 0.868
Y7 0.531 0.156 0.108
Y8 0.257 0.125 0.632
Y9 0.833 0.833 0.000
Y10 0.048 0.423 0.892
Y11 0.493 0.625 0.368
Y12 0.917 0.417 0.500
Y13 0.219 0.827 0.125
Y14 0.906 0.781 0.608
Y15 0.702 0.094 0.875
Y16 0.173 0.298 0.392
Se1 0.245 0.999 0.112
Se2 0.675 0.788 0.253
Se3 0.887 0.132 0.888
Se4 0.863 0.251 0.746
Se5 0.505 0.118 0.254
Se6 0.534 0.422 0.747
Se7 0.908 0.653 0.096
Se8 0.216 0.462 0.387
Se9 0.347 0.443 0.255
Se10 0.557 0.812 0.904
Se11 0.075 0.828 0.613
Se12 0.538 0.925 0.753
Se13 0.172 0.784 0.247
Se14 0.188 0.092 0.745
Se15 0.578 0.325 0.113
Se16 0.882 0.137 0.388
Se17 0.001 0.113 0.246
Se18 0.212 0.466 0.887
Se19 0.749 0.495 0.612
Se20 0.193 0.597 0.755
Se21 0.842 0.438 0.245
Se22 0.868 0.755 0.754
Se23 0.562 0.807 0.404
Se24 0.403 0.158 0.596

***

Entry 2:
VASP calculation (PBE) on a geometry-optimized YSe2 structure.

## Properties
Calculated formation energy (eV/atom): -1.873

a = 4.077 Å, b = 4.077 Å, c = 8.363 Å
α = 90.00°, β = 90.00°, γ = 90.00°
Element x y z (fractional)
Y1 0.000 0.500 0.726
Y2 0.500 0.000 0.274
Se1 0.500 0.500 0.000
Se2 0.000 0.000 0.000
Se3 0.500 0.000 0.630
Se4 0.000 0.500 0.370

***

Entry 3:
VASP calculation (PBE) on a geometry-optimized Y2ZnSe4 structure.

## Properties
Calculated formation energy (eV/atom): -1.780
M_tot (μB per formula unit): 0.0

a = 8.172 Å, b = 8.172 Å, c = 8.172 Å
α = 60.00°, β = 60.00°, γ = 60.00°
Element x y z (fractional)
Y1 0.125 0.625 0.625
Y2 0.625 0.125 0.625
Y3 0.625 0.625 0.125
Y4 0.625 0.625 0.625
Zn1 0.250 0.250 0.250
Zn2 0.000 0.000 0.000
Se1 0.870 0.377 0.377
Se2 0.377 0.870 0.377
Se3 0.377 0.377 0.870
Se4 0.377 0.377 0.377
Se5 0.380 0.873 0.873
Se6 0.873 0.380 0.873
Se7 0.873 0.873 0.380
Se8 0.873 0.873 0.873

***

Entry 4:
VASP calculation (PBE) on a geometry-optimized ZnSe2 structure.

## Properties
Calculated formation energy (eV/atom): -0.644
M_tot (μB per formula unit): 0.0

a = 6.374 Å, b = 6.374 Å, c = 6.374 Å
α = 90.00°, β = 90.00°, γ = 90.00°
Element x y z (fractional)
Zn1 0.500 0.500 0.000
Zn2 0.500 0.000 0.500
Zn3 0.000 0.500 0.500
Zn4 0.000 0.000 0.000
Se1 0.109 0.891 0.391
Se2 0.891 0.391 0.109
Se3 0.391 0.109 0.891
Se4 0.609 0.609 0.609
Se5 0.891 0.109 0.609
Se6 0.109 0.609 0.891
Se7 0.609 0.891 0.109
Se8 0.391 0.391 0.391

***

Entry 5:
VASP calculation (PBE) on a geometry-optimized ZrSe structure.

## Properties
Calculated formation energy (eV/atom): -1.170
M_tot (μB per formula unit): 0.1

a = 5.251 Å, b = 5.428 Å, c = 27.713 Å
α = 87.97°, β = 89.83°, γ = 89.94°
Element x y z (fractional)
Zr1 0.501 0.103 0.291
Zr2 0.499 0.969 0.507
Zr3 0.495 0.980 0.720
Zr4 0.498 0.530 0.000
Zr5 0.504 0.441 0.198
Zr6 0.000 0.496 0.101
Zr7 0.500 0.459 0.378
Zr8 0.997 0.472 0.297
Zr9 0.998 0.481 0.505
Zr10 0.501 0.523 0.578
Zr11 0.485 0.552 0.794
Zr12 0.004 0.524 0.718
Zr13 0.018 0.533 0.911
Zr14 0.000 0.029 0.579
Zr15 0.493 0.922 0.917
Zr16 0.008 0.933 0.826
Se1 0.501 0.016 0.607
Se2 0.999 0.457 0.008
Se3 0.500 0.506 0.100
Se4 0.003 0.542 0.196
Se5 0.497 0.597 0.287
Se6 0.999 0.507 0.394
Se7 0.498 0.483 0.477
Se8 0.001 0.520 0.608
Se9 0.503 0.493 0.694
Se10 0.985 0.443 0.813
Se11 0.515 0.432 0.903
Se12 0.002 0.995 0.286
Se13 0.999 0.989 0.479
Se14 0.997 0.017 0.689
Se15 0.505 0.037 0.816
Se16 0.993 0.016 0.924

***

Entry 6:
VASP calculation (PBE) on a geometry-optimized Zr2Se3 structure.

## Properties
Calculated formation energy (eV/atom): -1.640

a = 6.538 Å, b = 6.538 Å, c = 6.726 Å
α = 80.57°, β = 80.57°, γ = 120.08°
Element x y z (fractional)
Zr1 0.171 0.829 0.500
Zr2 0.500 0.500 0.500
Zr3 0.829 0.171 0.500
Zr4 0.000 0.000 0.000
Se1 0.260 0.260 0.243
Se2 0.580 0.922 0.236
Se3 0.922 0.580 0.236
Se4 0.078 0.420 0.764
Se5 0.420 0.078 0.764
Se6 0.740 0.740 0.757

***

Entry 7:
VASP calculation (PBE) on a geometry-optimized ZrSe structure.

## Properties
Calculated formation energy (eV/atom): -1.582

a = 3.568 Å, b = 3.568 Å, c = 3.680 Å
α = 90.00°, β = 90.00°, γ = 120.00°
Element x y z (fractional)
Zr1 0.333 0.667 0.000
Se1 0.667 0.333 0.500

***

Entry 8:
VASP calculation (PBE) on a geometry-optimized ZrSe2 structure.

## Properties
Calculated formation energy (eV/atom): -1.644

a = 3.805 Å, b = 3.805 Å, c = 6.687 Å
α = 90.00°, β = 90.00°, γ = 120.00°
Element x y z (fractional)
Zr1 0.000 0.000 0.000
Se1 0.667 0.333 0.762
Se2 0.333 0.667 0.238

***

Q: Which value of calculated formation energy does entry 5 give?
A: -1.170 eV/atom